No. 1
A plane-wave DFT calculation with GGA-PBE was carried out for an optimized crystal structure of Ti4Zn3SnO12.

Summary:
Space-group type: Im-3m (229)
M_tot in μB/f.u.: 0.00
Excess energy over the best structure of this formula in the dataset in meV/atom: 329
Energy with MP2020 corrections in eV/f.u.: -146.2
Calculated formation energy in eV/atom: -2.370

Cell: 6.7026 6.7026 6.7026 Å, 109.47 109.47 109.47°
Closest atoms and distances in Å follow each position.
Fractional positions:
1 O 0.7486 0.2514 0.0000  2 Ti 1.93
2 O 0.7486 0.7486 0.4971  2 Ti 1.93
3 O 0.0000 0.2514 0.7486  2 Ti 1.93
4 O 0.2514 0.7486 0.0000  2 Ti 1.93
5 O 0.0000 0.7486 0.2514  2 Ti 1.93
6 O 0.2514 0.2514 0.5029  2 Ti 1.93
7 O 0.2514 0.5029 0.2514  2 Ti 1.93
8 O 0.5029 0.2514 0.2514  2 Ti 1.93
9 O 0.7486 0.4971 0.7486  2 Ti 1.93
10 O 0.4971 0.7486 0.7486  2 Ti 1.93
11 O 0.2514 0.0000 0.7486  2 Ti 1.93
12 O 0.7486 0.0000 0.2514  2 Ti 1.93
13 Zn 0.5000 0.5000 0.0000  12 O 2.72-2.74
14 Zn 0.0000 0.5000 0.5000  12 O 2.72-2.74
15 Zn 0.5000 0.0000 0.5000  12 O 2.72-2.74
16 Ti 0.5000 0.0000 0.0000  6 O 1.93
17 Ti 0.5000 0.5000 0.5000  6 O 1.93
18 Ti 0.0000 0.0000 0.5000  6 O 1.93
19 Ti 0.0000 0.5000 0.0000  6 O 1.93
20 Sn 0.0000 0.0000 0.0000  12 O 2.75

No. 2
A plane-wave DFT calculation with GGA-PBE was carried out for an optimized crystal structure of Mg14NbCuO16.

Summary:
Space-group type: Pmmm (47)
M_tot in μB/f.u.: 2.03
Energy with MP2020 corrections in eV/f.u.: -205.5
Calculated formation energy in eV/atom: -2.805

Cell: 8.6453 8.6805 4.2444 Å, 90.00 90.00 90.00°
Closest atoms and distances in Å follow each position.
Fractional positions:
1 O 0.5000 0.2538 0.0000  6 Mg 2.12-2.20
2 O 0.2562 0.5000 0.0000  5 Mg 2.11-2.25, 1 Nb 2.22
3 O 0.2672 0.0000 0.0000  5 Mg 2.01-2.13
4 O 0.7519 0.2512 0.5000  6 Mg 2.12-2.18
5 O 0.0000 0.2554 0.0000  1 Nb 2.12, 4 Mg 2.13-2.18, 1 Cu 2.22
6 O 0.2481 0.2512 0.5000  6 Mg 2.12-2.18
7 O 0.0000 0.7446 0.0000  1 Nb 2.12, 4 Mg 2.13-2.18, 1 Cu 2.22
8 O 0.7328 0.0000 0.0000  5 Mg 2.01-2.13
9 O 0.0000 0.5000 0.5000  2 Nb 2.12, 4 Mg 2.24-2.31
10 O 0.5000 0.7462 0.0000  6 Mg 2.12-2.20
11 O 0.0000 0.0000 0.5000  4 Mg 2.03-2.15, 2 Cu 2.12
12 O 0.5000 0.5000 0.5000  6 Mg 2.09-2.20
13 O 0.5000 0.0000 0.5000  6 Mg 2.12-2.17
14 O 0.2481 0.7488 0.5000  6 Mg 2.12-2.18
15 O 0.7438 0.5000 0.0000  5 Mg 2.11-2.25, 1 Nb 2.22
16 O 0.7519 0.7488 0.5000  6 Mg 2.12-2.18
17 Mg 0.7485 0.7588 0.0000  6 O 2.10-2.25
18 Mg 0.5000 0.5000 0.0000  6 O 2.11-2.14
19 Mg 0.7513 0.0000 0.5000  6 O 2.13-2.18
20 Mg 0.7415 0.5000 0.5000  6 O 2.09-2.24
21 Mg 0.0000 0.2342 0.5000  5 O 2.03-2.15
22 Mg 0.2515 0.7588 0.0000  6 O 2.10-2.25
23 Mg 0.7485 0.2412 0.0000  6 O 2.10-2.25
24 Mg 0.5000 0.2464 0.5000  6 O 2.12-2.20
25 Mg 0.0000 0.7658 0.5000  5 O 2.03-2.15
26 Mg 0.2487 0.0000 0.5000  6 O 2.13-2.18
27 Mg 0.2585 0.5000 0.5000  6 O 2.09-2.24
28 Mg 0.5000 0.0000 0.0000  6 O 2.01-2.20
29 Mg 0.2515 0.2412 0.0000  6 O 2.10-2.25
30 Mg 0.5000 0.7536 0.5000  6 O 2.12-2.20
31 Cu 0.0000 0.0000 0.0000  6 O 2.12-2.31
32 Nb 0.0000 0.5000 0.0000  6 O 2.12-2.22

No. 3
A plane-wave DFT calculation with GGA-PBE was carried out for an optimized crystal structure of MnZnSe2.

Summary:
Space-group type: R3m (160)
Energy with MP2020 corrections in eV/f.u.: -20.5
Calculated formation energy in eV/atom: -0.777

Cell: 7.1287 7.1287 7.1287 Å, 33.65 33.65 33.65°
Closest atoms and distances in Å follow each position.
Fractional positions:
1 Se 0.6232 0.6232 0.6232  1 Zn 2.48, 3 Mn 2.54
2 Se 0.1264 0.1264 0.1264  3 Zn 2.52, 1 Mn 2.54
3 Zn 0.5001 0.5001 0.5001  4 Se 2.48-2.52
4 Mn 0.0003 0.0003 0.0003  4 Se 2.54